Material: Ba3Si4P6
Method: DFT, GGA-PBE
State: optimized geometry

Values from the calculation:
- Formation enthalpy at 0 K: -0.66 eV per atom
- Space group: P2_1/m, No. 11
- Total DFT energy (no corrections): -0.3872 Ry/atom

Cell lengths 7.3705, 7.5929, 11.6420 Å; angles 80.62, 90.00, 90.00 degrees
Last column: nearest neighbours and their distance in Å.
Positions (direct):
Ba  0.2500  0.5921  0.1358  6 P 3.19-3.37
Ba  0.7500  0.9123  0.8519  6 P 3.30
Ba  0.2500  0.4982  0.5075  8 P 3.31-3.42, 2 Ba 3.69
Ba  0.7500  0.4079  0.8642  6 P 3.19-3.37
Ba  0.7500  0.5018  0.4925  8 P 3.31-3.42, 2 Ba 3.69
Ba  0.2500  0.0877  0.1481  6 P 3.30
P  0.9987  0.7933  0.3179  2 Si 2.26
P  0.5013  0.7933  0.3179  2 Si 2.26
P  0.0013  0.2067  0.6821  2 Si 2.26
P  0.4988  0.7021  0.6822  2 Si 2.26
P  0.5012  0.2979  0.3178  2 Si 2.26
P  0.2500  0.8973  0.9127  2 Si 2.33
P  0.7500  0.6035  0.0874  2 Si 2.31
P  0.7500  0.1027  0.0873  2 Si 2.33
P  0.4987  0.2067  0.6821  2 Si 2.26
P  0.9988  0.2979  0.3178  2 Si 2.26
P  0.0012  0.7021  0.6822  2 Si 2.26
P  0.2500  0.3965  0.9126  2 Si 2.31
Si  0.7500  0.8227  0.2034  4 P 2.26-2.33
Si  0.2500  0.1773  0.7966  4 P 2.26-2.33
Si  0.0785  0.9772  0.5907  2 P 2.26, 2 Si 2.38-2.53
Si  0.7500  0.3256  0.2033  4 P 2.26-2.33
Si  0.2500  0.6744  0.7967  4 P 2.26-2.33
Si  0.9215  0.0228  0.4093  2 P 2.26, 2 Si 2.38-2.53
Si  0.5785  0.0228  0.4093  2 P 2.26, 2 Si 2.38-2.53
Si  0.4215  0.9772  0.5907  2 P 2.26, 2 Si 2.38-2.53

***

Material: RbSb3S5O
Method: DFT, GGA-PBE
State: optimized geometry

Values from the calculation:
- Formation enthalpy at 0 K: -0.39 eV per atom
- Total moment: 0.96 μB per formula unit
- Space group: P-1, No. 2
- Total DFT energy (no corrections): -0.3099 Ry/atom
- E above lowest polymorph: 17.6 kJ per mole of atoms

Cell lengths 6.8966, 8.9338, 10.7276 Å; angles 106.21, 99.74, 93.66 degrees
Last column: nearest neighbours and their distance in Å.
Positions (direct):
S  0.7419  0.8402  0.1539  2 Sb 2.46-2.64
S  0.6734  0.6513  0.4431  1 Sb 2.40
S  0.3323  0.5058  0.1110  2 Sb 2.46-2.59
S  0.3266  0.3487  0.5569  1 Sb 2.40
S  0.6212  0.2129  0.0661  1 O 1.53
S  0.3509  0.9062  0.3388  2 Sb 2.49-2.51
S  0.6491  0.0938  0.6612  2 Sb 2.49-2.51
S  0.3788  0.7871  0.9339  1 O 1.53
S  0.2581  0.1598  0.8461  2 Sb 2.46-2.64
S  0.6677  0.4942  0.8890  2 Sb 2.46-2.59
Sb  0.3299  0.6853  0.4404  2 S 2.40-2.51
Sb  0.3044  0.4595  0.8591  3 S 2.46-2.64
Sb  0.6956  0.5405  0.1409  3 S 2.46-2.64
Sb  0.2821  0.0367  0.6140  2 S 2.46-2.49
Sb  0.7179  0.9633  0.3860  2 S 2.46-2.49
Sb  0.6701  0.3147  0.5596  2 S 2.40-2.51
Rb  0.1803  0.1549  0.1756  2 O 2.80-2.90
Rb  0.8197  0.8451  0.8244  2 O 2.80-2.90
O  0.8022  0.1369  0.0237  1 S 1.53
O  0.1978  0.8631  0.9763  1 S 1.53

***

Material: Pr21Fe8Bi7C12
Method: DFT, GGA-PBE
State: optimized geometry

Values from the calculation:
- Formation enthalpy at 0 K: -0.50 eV per atom
- Total moment: 2.76 μB per formula unit
- Space group: Fm-3m, No. 225
- Total DFT energy (no corrections): -0.5056 Ry/atom

Cell lengths 11.5708, 11.5708, 11.5708 Å; angles 60.00, 60.00, 60.00 degrees
Last column: nearest neighbours and their distance in Å.
Positions (direct):
Bi  0.7105  0.7105  0.2895  9 Pr 3.39-3.44
Bi  0.0000  0.0000  0.0000  12 Pr 3.96
Bi  0.7105  0.2895  0.2895  9 Pr 3.39-3.44
Bi  0.2895  0.7105  0.2895  9 Pr 3.39-3.44
Bi  0.7105  0.2895  0.7105  9 Pr 3.39-3.44
Bi  0.2895  0.7105  0.7105  9 Pr 3.39-3.44
Bi  0.2895  0.2895  0.7105  9 Pr 3.39-3.44
C  0.1087  0.1087  0.3913  2 Fe 1.90
C  0.8913  0.6087  0.6087  2 Fe 1.90
C  0.8913  0.6087  0.8913  2 Fe 1.90
C  0.1087  0.3913  0.3913  2 Fe 1.90
C  0.1087  0.3913  0.1087  2 Fe 1.90
C  0.3913  0.3913  0.1087  2 Fe 1.90
C  0.3913  0.1087  0.1087  2 Fe 1.90
C  0.6087  0.6087  0.8913  2 Fe 1.90
C  0.8913  0.8913  0.6087  2 Fe 1.90
C  0.6087  0.8913  0.8913  2 Fe 1.90
C  0.6087  0.8913  0.6087  2 Fe 1.90
C  0.3913  0.1087  0.3913  2 Fe 1.90
Pr  0.6369  0.6369  0.0892  3 C 2.66
Pr  0.0000  0.6576  0.0000  2 C 2.55
Pr  0.9108  0.3631  0.3631  3 C 2.66
Pr  0.6369  0.0892  0.6369  3 C 2.66
Pr  0.6576  0.0000  0.0000  2 C 2.55
Pr  0.3424  0.6576  0.0000  2 C 2.55
Pr  0.0892  0.6369  0.6369  3 C 2.66
Pr  0.3631  0.3631  0.9108  3 C 2.66
Pr  0.5000  0.5000  0.5000  6 Bi 3.44
Pr  0.6576  0.0000  0.3424  2 C 2.55
Pr  0.6576  0.3424  0.0000  2 C 2.55
Pr  0.3631  0.3631  0.3631  3 C 2.66
Pr  0.6369  0.6369  0.6369  3 C 2.66
Pr  0.0000  0.3424  0.6576  2 C 2.55
Pr  0.3424  0.0000  0.6576  2 C 2.55
Pr  0.3631  0.9108  0.3631  3 C 2.66
Pr  0.3424  0.0000  0.0000  2 C 2.55
Pr  0.0000  0.0000  0.6576  2 C 2.55
Pr  0.0000  0.6576  0.3424  2 C 2.55
Pr  0.0000  0.0000  0.3424  2 C 2.55
Pr  0.0000  0.3424  0.0000  2 C 2.55
Fe  0.1957  0.4129  0.1957  3 C 1.90
Fe  0.1957  0.1957  0.1957  3 C 1.90
Fe  0.1957  0.1957  0.4129  3 C 1.90
Fe  0.5871  0.8043  0.8043  3 C 1.90
Fe  0.8043  0.8043  0.8043  3 C 1.90
Fe  0.4129  0.1957  0.1957  3 C 1.90
Fe  0.8043  0.5871  0.8043  3 C 1.90
Fe  0.8043  0.8043  0.5871  3 C 1.90

***

Material: CaMg30NbO32
Method: DFT, GGA-PBE
State: optimized geometry

Values from the calculation:
- Formation enthalpy at 0 K: -2.97 eV per atom
- Total moment: 3.00 μB per formula unit
- Space group: P4/mmm, No. 123
- Total DFT energy (no corrections): -0.4442 Ry/atom

Cell lengths 8.5899, 8.5978, 8.5978 Å; angles 90.00, 90.00, 90.00 degrees
Last column: nearest neighbours and their distance in Å.
Positions (direct):
O  0.5000  0.2518  0.0000  6 Mg 2.12-2.17
O  0.7504  0.2501  0.2501  6 Mg 2.14-2.15
O  0.0000  0.2612  0.0000  5 Mg 2.05-2.17, 1 Ca 2.25
O  0.2496  0.7499  0.2501  6 Mg 2.14-2.15
O  0.7504  0.7499  0.7499  6 Mg 2.14-2.15
O  0.5000  0.2489  0.5000  6 Mg 2.13-2.16
O  0.5000  0.5000  0.7511  6 Mg 2.13-2.16
O  0.7375  0.0000  0.0000  5 Mg 2.04-2.18, 1 Ca 2.25
O  0.5000  0.7482  0.0000  6 Mg 2.12-2.17
O  0.0000  0.7388  0.0000  5 Mg 2.05-2.17, 1 Ca 2.25
O  0.0000  0.5000  0.7608  5 Mg 2.06-2.17, 1 Nb 2.24
O  0.2536  0.0000  0.5000  6 Mg 2.12-2.18
O  0.0000  0.5000  0.2392  5 Mg 2.06-2.17, 1 Nb 2.24
O  0.7464  0.0000  0.5000  6 Mg 2.12-2.18
O  0.2496  0.7499  0.7499  6 Mg 2.14-2.15
O  0.7504  0.2501  0.7499  6 Mg 2.14-2.15
O  0.2536  0.5000  0.0000  6 Mg 2.12-2.18
O  0.5000  0.7511  0.5000  6 Mg 2.13-2.16
O  0.5000  0.0000  0.7482  6 Mg 2.12-2.17
O  0.7504  0.7499  0.2501  6 Mg 2.14-2.15
O  0.0000  0.0000  0.2612  5 Mg 2.05-2.17, 1 Ca 2.25
O  0.2624  0.5000  0.5000  5 Mg 2.04-2.17, 1 Nb 2.25
O  0.2625  0.0000  0.0000  5 Mg 2.04-2.18, 1 Ca 2.25
O  0.7464  0.5000  0.0000  6 Mg 2.12-2.18
O  0.0000  0.0000  0.7388  5 Mg 2.05-2.17, 1 Ca 2.25
O  0.2496  0.2501  0.2501  6 Mg 2.14-2.15
O  0.7376  0.5000  0.5000  5 Mg 2.04-2.17, 1 Nb 2.25
O  0.2496  0.2501  0.7499  6 Mg 2.14-2.15
O  0.0000  0.7608  0.5000  5 Mg 2.06-2.17, 1 Nb 2.24
O  0.5000  0.0000  0.2518  6 Mg 2.12-2.17
O  0.0000  0.2392  0.5000  5 Mg 2.06-2.17, 1 Nb 2.24
O  0.5000  0.5000  0.2489  6 Mg 2.13-2.16
Mg  0.2519  0.2483  0.5000  6 O 2.13-2.17
Mg  0.5000  0.5000  0.5000  6 O 2.04-2.16
Mg  0.2529  0.0000  0.2529  6 O 2.12-2.18
Mg  0.7471  0.0000  0.7471  6 O 2.12-2.18
Mg  0.7481  0.7517  0.5000  6 O 2.13-2.17
Mg  0.5000  0.2501  0.7499  6 O 2.15
Mg  0.0000  0.0000  0.5000  6 O 2.05-2.18
Mg  0.2529  0.7471  0.0000  6 O 2.12-2.18
Mg  0.7481  0.5000  0.2483  6 O 2.13-2.17
Mg  0.0000  0.5000  0.0000  6 O 2.05-2.18
Mg  0.2519  0.5000  0.7517  6 O 2.13-2.17
Mg  0.5000  0.2501  0.2501  6 O 2.15
Mg  0.7471  0.7471  0.0000  6 O 2.12-2.18
Mg  0.2529  0.2529  0.0000  6 O 2.12-2.18
Mg  0.5000  0.5000  0.0000  6 O 2.12-2.14
Mg  0.5000  0.0000  0.5000  6 O 2.12-2.14
Mg  0.0000  0.2511  0.7489  6 O 2.14-2.16
Mg  0.0000  0.7489  0.7489  6 O 2.14-2.16
Mg  0.7471  0.0000  0.2529  6 O 2.12-2.18
Mg  0.2529  0.0000  0.7471  6 O 2.12-2.18
Mg  0.0000  0.2511  0.2511  6 O 2.14-2.16
Mg  0.0000  0.7489  0.2511  6 O 2.14-2.16
Mg  0.2519  0.7517  0.5000  6 O 2.13-2.17
Mg  0.7471  0.2529  0.0000  6 O 2.12-2.18
Mg  0.7481  0.2483  0.5000  6 O 2.13-2.17
Mg  0.7481  0.5000  0.7517  6 O 2.13-2.17
Mg  0.5000  0.0000  0.0000  6 O 2.04-2.17
Mg  0.2519  0.5000  0.2483  6 O 2.13-2.17
Mg  0.5000  0.7499  0.2501  6 O 2.15
Mg  0.5000  0.7499  0.7499  6 O 2.15
Ca  0.0000  0.0000  0.0000  6 O 2.25
Nb  0.0000  0.5000  0.5000  6 O 2.24-2.25